No. 1
Entry from Materials Project: a geometry-optimized Ho2TeO6 structure (r2SCAN).

Results
SG = No. 19
energy of formation = -2853 meV per atom

Unit cell a=5.2289 b=9.0202 c=9.8776 alpha=90.00 beta=90.00 gamma=90.00
Closest atoms and distances in Å follow each position.
Positions (direct):
Ho 0.0195 0.1040 0.4624  6 O 2.21-2.41
Ho 0.0384 0.2171 0.8654  7 O 2.24-2.47
Ho 0.4616 0.7829 0.3654  7 O 2.24-2.47
Ho 0.4805 0.8960 0.9624  6 O 2.21-2.41
Ho 0.5195 0.3960 0.5376  6 O 2.21-2.41
Ho 0.5384 0.2829 0.1346  7 O 2.24-2.47
Ho 0.9616 0.7171 0.6346  7 O 2.24-2.47
Ho 0.9805 0.6040 0.0376  6 O 2.21-2.41
Te 0.0388 0.4950 0.3515  6 O 1.89-1.95
Te 0.4612 0.5050 0.8515  6 O 1.89-1.95
Te 0.5388 0.0050 0.6485  6 O 1.89-1.95
Te 0.9612 0.9950 0.1485  6 O 1.89-1.95
O 0.0862 0.8450 0.0287  1 Te 1.91
O 0.1685 0.9488 0.2998  1 Te 1.89
O 0.1805 0.6406 0.8207  1 Te 1.93
O 0.1882 0.6412 0.2378  1 Te 1.90
O 0.2324 0.1147 0.0701  1 Te 1.94
O 0.2437 0.5851 0.4948  1 Te 1.95
O 0.2563 0.4149 0.9948  1 Te 1.95
O 0.2676 0.8853 0.5701  1 Te 1.94
O 0.3118 0.3588 0.7378  1 Te 1.90
O 0.3195 0.3594 0.3207  1 Te 1.93
O 0.3315 0.0512 0.7998  1 Te 1.89
O 0.4138 0.1550 0.5287  1 Te 1.91
O 0.5862 0.6550 0.9713  1 Te 1.91
O 0.6685 0.5512 0.7002  1 Te 1.89
O 0.6805 0.8594 0.1793  1 Te 1.93
O 0.6882 0.8588 0.7622  1 Te 1.90
O 0.7324 0.3853 0.9299  1 Te 1.94
O 0.7437 0.9149 0.5052  1 Te 1.95
O 0.7563 0.0851 0.0052  1 Te 1.95
O 0.7676 0.6147 0.4299  1 Te 1.94
O 0.8118 0.1412 0.2622  1 Te 1.90
O 0.8195 0.1406 0.6793  1 Te 1.93
O 0.8315 0.4488 0.2002  1 Te 1.89
O 0.9138 0.3450 0.4713  1 Te 1.91

No. 2
Entry from Materials Project: a geometry-optimized Ho2TeO6 structure (r2SCAN).

Results
SG = No. 150
energy of formation = -2844 meV per atom

Unit cell a=9.0067 b=9.0067 c=5.1545 alpha=90.00 beta=90.00 gamma=120.00
Closest atoms and distances in Å follow each position.
Positions (direct):
Ho 0.0000 0.2805 0.0000  6 O 2.18-2.32
Ho 0.0000 0.6174 0.5000  6 O 2.21-2.35
Ho 0.2805 0.0000 0.0000  6 O 2.18-2.32
Ho 0.3826 0.3826 0.5000  6 O 2.21-2.35
Ho 0.6174 0.0000 0.5000  6 O 2.21-2.35
Ho 0.7195 0.7195 0.0000  6 O 2.18-2.32
Te 0.0000 0.0000 0.5000  6 O 1.91
Te 0.3333 0.6667 0.9968  6 O 1.92-1.93
Te 0.6667 0.3333 0.0032  6 O 1.92-1.93
O 0.0768 0.8769 0.2884  1 Te 1.91
O 0.1231 0.2000 0.2884  1 Te 1.91
O 0.1327 0.5442 0.2099  1 Te 1.92
O 0.2000 0.1231 0.7116  1 Te 1.91
O 0.2267 0.7625 0.7821  1 Te 1.93
O 0.2375 0.4641 0.7821  1 Te 1.93
O 0.4115 0.8673 0.2099  1 Te 1.92
O 0.4558 0.5885 0.2099  1 Te 1.92
O 0.4641 0.2375 0.2179  1 Te 1.93
O 0.5359 0.7733 0.7821  1 Te 1.93
O 0.5442 0.1327 0.7901  1 Te 1.92
O 0.5885 0.4558 0.7901  1 Te 1.92
O 0.7625 0.2267 0.2179  1 Te 1.93
O 0.7733 0.5359 0.2179  1 Te 1.93
O 0.8000 0.9232 0.2884  1 Te 1.91
O 0.8673 0.4115 0.7901  1 Te 1.92
O 0.8769 0.0768 0.7116  1 Te 1.91
O 0.9232 0.8000 0.7116  1 Te 1.91

No. 3
Entry from Materials Project: a geometry-optimized Ho2V2O7 structure (r2SCAN).

Results
SG = No. 227
energy of formation = -3274 meV per atom

Unit cell a=7.0510 b=7.0510 c=7.0510 alpha=60.00 beta=60.00 gamma=60.00
Closest atoms and distances in Å follow each position.
Positions (direct):
Ho 0.0000 0.0000 0.0000  2 O 2.16
Ho 0.0000 0.0000 0.5000  2 O 2.16
Ho 0.0000 0.5000 0.0000  2 O 2.16
Ho 0.5000 0.0000 0.0000  2 O 2.16
V 0.0000 0.5000 0.5000  6 O 1.94
V 0.5000 0.0000 0.5000  6 O 1.94
V 0.5000 0.5000 0.0000  6 O 1.94
V 0.5000 0.5000 0.5000  6 O 1.94
O 0.1250 0.1250 0.1250  4 Ho 2.16
O 0.1690 0.1690 0.5810  2 V 1.94
O 0.1690 0.5810 0.1690  2 V 1.94
O 0.1690 0.5810 0.5810  2 V 1.94
O 0.4190 0.4190 0.8310  2 V 1.94
O 0.4190 0.8310 0.4190  2 V 1.94
O 0.4190 0.8310 0.8310  2 V 1.94
O 0.5810 0.1690 0.1690  2 V 1.94
O 0.5810 0.1690 0.5810  2 V 1.94
O 0.5810 0.5810 0.1690  2 V 1.94
O 0.8310 0.4190 0.4190  2 V 1.94
O 0.8310 0.4190 0.8310  2 V 1.94
O 0.8310 0.8310 0.4190  2 V 1.94
O 0.8750 0.8750 0.8750  4 Ho 2.16

No. 4
Entry from Materials Project: a geometry-optimized HoVO3 structure (r2SCAN).

Results
SG = No. 62
energy of formation = -3338 meV per atom

Unit cell a=5.6539 b=7.5252 c=5.2326 alpha=90.00 beta=90.00 gamma=90.00
Closest atoms and distances in Å follow each position.
Positions (direct):
Ho 0.0716 0.2500 0.0203  4 O 2.21-2.28
Ho 0.4284 0.7500 0.5203  4 O 2.21-2.28
Ho 0.5716 0.2500 0.4797  4 O 2.21-2.28
Ho 0.9284 0.7500 0.9797  4 O 2.21-2.28
V 0.0000 0.0000 0.5000  6 O 1.98-2.07
V 0.0000 0.5000 0.5000  6 O 1.98-2.07
V 0.5000 0.0000 0.0000  6 O 1.98-2.07
V 0.5000 0.5000 0.0000  6 O 1.98-2.07
O 0.0460 0.7500 0.3820  2 V 2.00, 1 Ho 2.21
O 0.1893 0.5584 0.8068  2 V 1.98-2.07
O 0.1893 0.9416 0.8068  2 V 1.98-2.07
O 0.3107 0.0584 0.3068  2 V 1.98-2.07
O 0.3107 0.4416 0.3068  2 V 1.98-2.07
O 0.4540 0.2500 0.8820  2 V 2.00, 1 Ho 2.21
O 0.5460 0.7500 0.1180  2 V 2.00, 1 Ho 2.21
O 0.6893 0.5584 0.6932  2 V 1.98-2.07
O 0.6893 0.9416 0.6932  2 V 1.98-2.07
O 0.8107 0.0584 0.1932  2 V 1.98-2.07
O 0.8107 0.4416 0.1932  2 V 1.98-2.07
O 0.9540 0.2500 0.6180  2 V 2.00, 1 Ho 2.21

No. 5
Entry from Materials Project: a geometry-optimized Y13Ho3O24 structure (r2SCAN).

Results
SG = No. 1
energy of formation = -3912 meV per atom

Unit cell a=9.1704 b=9.1711 c=9.1740 alpha=109.48 beta=109.47 gamma=109.45
Closest atoms and distances in Å follow each position.
Positions (direct):
Y 0.0000 0.0000 0.0000  6 O 2.24-2.33
Y 0.9998 0.4992 0.5002  6 O 2.24-2.34
Y 0.0327 0.7169 0.2499  6 O 2.24-2.34
Y 0.2177 0.1851 0.4679  6 O 2.24-2.34
Y 0.2496 0.9672 0.7178  6 O 2.28
Y 0.2820 0.7489 0.9677  6 O 2.24-2.34
Y 0.4674 0.2174 0.1857  6 O 2.24-2.33
Y 0.4999 0.4346 0.9352  6 O 2.24-2.33
Y 0.5004 0.9349 0.4358  6 O 2.24-2.34
Y 0.5325 0.7166 0.7500  6 O 2.25-2.33
Y 0.7173 0.6846 0.4680  6 O 2.24-2.33
Y 0.7503 0.9674 0.2183  6 O 2.28-2.29
Y 0.7831 0.2500 0.9674  6 O 2.25-2.34
Ho 0.2500 0.4671 0.2173  6 O 2.27
Ho 0.7502 0.4669 0.7178  6 O 2.27
Ho 0.9675 0.2177 0.6855  6 O 2.23-2.33
O 0.0120 0.4558 0.2495  3 Y 2.25-2.34, 1 Ho 2.27
O 0.0197 0.4976 0.7602  2 Y 2.25-2.34, 2 Ho 2.25-2.27
O 0.0231 0.2294 0.9466  2 Ho 2.23-2.27, 2 Y 2.27-2.34
O 0.2075 0.9561 0.9462  4 Y 2.24-2.33
O 0.2175 0.2067 0.7289  1 Ho 2.24, 3 Y 2.27-2.34
O 0.2394 0.6942 0.1752  3 Y 2.24-2.34, 1 Ho 2.27
O 0.2605 0.2403 0.2603  3 Y 2.25-2.33, 1 Ho 2.27
O 0.2813 0.7277 0.7068  4 Y 2.25-2.33
O 0.2927 0.9783 0.4899  4 Y 2.24-2.34
O 0.4771 0.7050 0.4876  3 Y 2.25-2.33, 1 Ho 2.27
O 0.4804 0.4350 0.6751  3 Y 2.24-2.33, 1 Ho 2.27
O 0.4883 0.4783 0.1862  3 Y 2.25-2.33, 1 Ho 2.27
O 0.5111 0.6965 0.9897  4 Y 2.24-2.33
O 0.5209 0.1955 0.9571  4 Y 2.25-2.33
O 0.5216 0.0095 0.2289  4 Y 2.25-2.34
O 0.7081 0.1974 0.6859  2 Y 2.24-2.27, 2 Ho 2.27-2.33
O 0.7180 0.4243 0.4480  3 Y 2.24-2.33, 1 Ho 2.27
O 0.7391 0.9988 0.9784  4 Y 2.25-2.33
O 0.7625 0.9373 0.4592  3 Y 2.25-2.33, 1 Ho 2.25
O 0.7822 0.5100 0.9876  3 Y 2.24-2.33, 1 Ho 2.27
O 0.7929 0.7369 0.7497  3 Y 2.25-2.33, 1 Ho 2.27
O 0.9785 0.9249 0.2068  4 Y 2.25-2.33
O 0.9789 0.7385 0.4781  4 Y 2.24-2.33
O 0.9890 0.2378 0.4468  3 Y 2.24-2.28, 1 Ho 2.32

No. 6
Entry from Materials Project: a geometry-optimized Y7HoO12 structure (r2SCAN).

Results
SG = No. 24
energy of formation = -3909 meV per atom

Unit cell a=9.1769 b=9.1769 c=9.1769 alpha=109.48 beta=109.47 gamma=109.46
Closest atoms and distances in Å follow each position.
Positions (direct):
Y 0.0002 0.9998 0.0005  6 O 2.28
Y 0.0007 0.5002 0.5004  6 O 2.28
Y 0.0329 0.2829 0.7500  6 O 2.25-2.33
Y 0.2500 0.4674 0.2174  6 O 2.25-2.33
Y 0.2500 0.9679 0.7179  6 O 2.24-2.34
Y 0.4671 0.2171 0.2500  6 O 2.25-2.33
Y 0.4993 0.9997 0.4995  6 O 2.28
Y 0.4998 0.5003 0.9996  6 O 2.28
Y 0.5321 0.7821 0.7500  6 O 2.25-2.33
Y 0.7174 0.7500 0.4674  6 O 2.25-2.33
Y 0.7500 0.0326 0.2826  6 O 2.25-2.33
Y 0.7500 0.5321 0.7821  6 O 2.24-2.34
Y 0.7826 0.2500 0.0326  6 O 2.25-2.33
Y 0.9679 0.7179 0.2500  6 O 2.25-2.33
Ho 0.2173 0.7500 0.9673  6 O 2.24-2.33
Ho 0.2827 0.2500 0.5327  6 O 2.24-2.33
O 0.0122 0.7712 0.0421  3 Y 2.25-2.34, 1 Ho 2.25
O 0.0328 0.2608 0.4891  1 Ho 2.24, 3 Y 2.27-2.33
O 0.0427 0.5112 0.2719  4 Y 2.25-2.33
O 0.2282 0.2392 0.2719  1 Ho 2.24, 3 Y 2.27-2.33
O 0.2291 0.9701 0.4579  3 Y 2.25-2.34, 1 Ho 2.25
O 0.2389 0.0103 0.9685  3 Y 2.24-2.28, 1 Ho 2.33
O 0.2611 0.2297 0.7714  3 Y 2.24-2.28, 1 Ho 2.33
O 0.2709 0.7288 0.7410  3 Y 2.25-2.34, 1 Ho 2.25
O 0.2718 0.5437 0.0109  1 Ho 2.24, 3 Y 2.27-2.33
O 0.4573 0.7292 0.4685  4 Y 2.25-2.33
O 0.4672 0.9563 0.2281  1 Ho 2.24, 3 Y 2.27-2.33
O 0.4878 0.5299 0.7590  3 Y 2.25-2.34, 1 Ho 2.25
O 0.5105 0.4681 0.2386  4 Y 2.25-2.33
O 0.5313 0.0423 0.7706  4 Y 2.25-2.33
O 0.5418 0.2703 0.5315  3 Y 2.24-2.28, 1 Ho 2.33
O 0.7283 0.4577 0.9890  4 Y 2.25-2.33
O 0.7295 0.2719 0.2614  4 Y 2.25-2.33
O 0.7393 0.7708 0.2281  4 Y 2.25-2.33
O 0.7607 0.9888 0.0315  4 Y 2.25-2.33
O 0.7705 0.0319 0.5424  4 Y 2.25-2.33
O 0.7717 0.7607 0.7294  4 Y 2.25-2.33
O 0.9582 0.4897 0.7286  3 Y 2.24-2.28, 1 Ho 2.33
O 0.9687 0.7393 0.5110  4 Y 2.25-2.33
O 0.9895 0.2281 0.9576  4 Y 2.25-2.33

No. 7
Entry from Materials Project: a geometry-optimized Ho4Zr3O12 structure (r2SCAN).

Results
SG = No. 2
energy of formation = -3904 meV per atom

Unit cell a=6.2998 b=6.3427 c=6.5059 alpha=99.84 beta=98.63 gamma=99.57
Closest atoms and distances in Å follow each position.
Positions (direct):
Ho 0.1122 0.3006 0.1346  7 O 2.20-2.44
Ho 0.1957 0.8649 0.3900  6 O 2.20-2.37
Ho 0.8043 0.1351 0.6100  6 O 2.20-2.37
Ho 0.8878 0.6994 0.8654  7 O 2.20-2.44
Zr 0.3491 0.3965 0.6719  6 O 2.06-2.21
Zr 0.5000 0.0000 0.0000  6 O 2.07-2.16
Zr 0.6509 0.6035 0.3281  6 O 2.06-2.21
O 0.0853 0.4176 0.8210  1 Zr 2.06, 1 Ho 2.28
O 0.0873 0.1877 0.4340  1 Zr 2.16, 3 Ho 2.20-2.27
O 0.1851 0.9325 0.0596  1 Zr 2.07, 2 Ho 2.24-2.26
O 0.3279 0.5703 0.4259  2 Zr 2.09-2.21, 1 Ho 2.20
O 0.4208 0.0844 0.6930  2 Zr 2.12-2.16, 1 Ho 2.32
O 0.4731 0.3221 0.1131  2 Zr 2.09-2.10, 1 Ho 2.28
O 0.5269 0.6779 0.8869  2 Zr 2.09-2.10, 1 Ho 2.28
O 0.5792 0.9156 0.3070  2 Zr 2.12-2.16, 1 Ho 2.32
O 0.6721 0.4297 0.5741  2 Zr 2.09-2.21, 1 Ho 2.20
O 0.8149 0.0675 0.9404  1 Zr 2.07, 2 Ho 2.24-2.26
O 0.9127 0.8123 0.5660  1 Zr 2.16, 3 Ho 2.20-2.27
O 0.9147 0.5824 0.1790  1 Zr 2.06, 1 Ho 2.28

No. 8
Entry from Materials Project: a geometry-optimized Ho4Zr3O12 structure (r2SCAN).

Results
SG = No. 2
energy of formation = -3898 meV per atom

Unit cell a=6.3399 b=6.4070 c=12.7137 alpha=99.29 beta=99.26 gamma=99.38
Closest atoms and distances in Å follow each position.
Positions (direct):
Ho 0.1120 0.1348 0.4019  6 O 2.18-2.36
Ho 0.1899 0.3903 0.6817  6 O 2.22-2.38
Ho 0.2023 0.3895 0.1811  6 O 2.17-2.37
Ho 0.3583 0.6930 0.9475  6 O 2.20-2.38
Ho 0.6417 0.3070 0.0525  6 O 2.20-2.38
Ho 0.7977 0.6105 0.8189  6 O 2.17-2.37
Ho 0.8101 0.6097 0.3183  6 O 2.22-2.38
Ho 0.8880 0.8652 0.5981  6 O 2.18-2.36
Zr 0.1083 0.1432 0.9054  6 O 2.07-2.22
Zr 0.3537 0.6755 0.4468  6 O 2.06-2.21
Zr 0.4919 0.9938 0.7474  6 O 2.08-2.14
Zr 0.5081 0.0062 0.2526  6 O 2.08-2.14
Zr 0.6463 0.3245 0.5532  6 O 2.06-2.21
Zr 0.8917 0.8568 0.0946  6 O 2.07-2.22
O 0.0663 0.8314 0.9621  2 Zr 2.16-2.22, 2 Ho 2.20-2.37
O 0.0710 0.4159 0.8420  1 Zr 2.07, 2 Ho 2.28-2.30
O 0.0886 0.8192 0.4622  1 Zr 2.06, 1 Ho 2.27
O 0.0916 0.4330 0.3421  1 Zr 2.17, 3 Ho 2.18-2.27
O 0.1793 0.0574 0.7159  1 Zr 2.08, 2 Ho 2.22-2.24
O 0.1837 0.0379 0.2047  2 Zr 2.10-2.16, 1 Ho 2.31
O 0.3147 0.4064 0.0295  3 Ho 2.17-2.26, 1 Zr 2.19
O 0.3270 0.4240 0.5341  2 Zr 2.10-2.21, 1 Ho 2.22
O 0.4249 0.0775 0.9063  2 Zr 2.12-2.13, 1 Ho 2.27
O 0.4248 0.6945 0.2919  2 Zr 2.11-2.14, 1 Ho 2.32
O 0.4261 0.6822 0.7788  1 Zr 2.09, 2 Ho 2.24-2.25
O 0.4673 0.1071 0.4110  2 Zr 2.08-2.12, 1 Ho 2.27
O 0.5327 0.8929 0.5890  2 Zr 2.08-2.12, 1 Ho 2.27
O 0.5739 0.3178 0.2212  1 Zr 2.09, 2 Ho 2.24-2.25
O 0.5752 0.3055 0.7081  2 Zr 2.11-2.14, 1 Ho 2.32
O 0.5751 0.9225 0.0937  2 Zr 2.12-2.13, 1 Ho 2.27
O 0.6730 0.5760 0.4659  2 Zr 2.10-2.21, 1 Ho 2.22
O 0.6853 0.5936 0.9705  3 Ho 2.17-2.26, 1 Zr 2.19
O 0.8163 0.9621 0.7953  2 Zr 2.10-2.16, 1 Ho 2.31
O 0.8207 0.9426 0.2841  1 Zr 2.08, 2 Ho 2.22-2.24
O 0.9084 0.5670 0.6579  1 Zr 2.17, 3 Ho 2.18-2.27
O 0.9114 0.1808 0.5378  1 Zr 2.06, 1 Ho 2.27
O 0.9290 0.5841 0.1580  1 Zr 2.07, 2 Ho 2.28-2.30
O 0.9337 0.1686 0.0379  2 Zr 2.16-2.22, 2 Ho 2.20-2.37

No. 9
Entry from Materials Project: a geometry-optimized Ho2OsRu structure (r2SCAN).

Results
SG = No. 225
energy of formation = -283 meV per atom

Unit cell a=4.7664 b=4.7664 c=4.7664 alpha=60.00 beta=60.00 gamma=60.00
Closest atoms and distances in Å follow each position.
Positions (direct):
Ho 0.2500 0.2500 0.2500  4 Os 2.92, 4 Ru 2.92
Ho 0.7500 0.7500 0.7500  4 Ru 2.92, 4 Os 2.92
Os 0.0000 0.0000 0.0000  8 Ho 2.92
Ru 0.5000 0.5000 0.5000  8 Ho 2.92

No. 10
Entry from Materials Project: a geometry-optimized HoSi2Os2 structure (r2SCAN).

Results
SG = No. 139
energy of formation = -810 meV per atom

Unit cell a=5.6112 b=5.6112 c=5.6112 alpha=136.41 beta=136.41 gamma=63.35
Closest atoms and distances in Å follow each position.
Positions (direct):
Ho 0.0000 0.0000 0.0000  8 Os 3.17, 10 Si 3.19-3.54
Si 0.3707 0.3707 0.0000  4 Os 2.38, 1 Si 2.47
Si 0.6293 0.6293 0.0000  4 Os 2.38, 1 Si 2.47
Os 0.2500 0.7500 0.5000  4 Si 2.38
Os 0.7500 0.2500 0.5000  4 Si 2.38

No. 11
Entry from Materials Project: a geometry-optimized HoP5 structure (r2SCAN).

Results
SG = No. 11
energy of formation = -630 meV per atom

Unit cell a=4.9468 b=9.3674 c=5.3356 alpha=90.00 beta=102.30 gamma=90.00
Closest atoms and distances in Å follow each position.
Positions (direct):
Ho 0.0018 0.2500 0.3474  8 P 2.92-3.03
Ho 0.9982 0.7500 0.6526  8 P 2.92-3.03
P 0.2791 0.2500 0.8931  2 P 2.20
P 0.2874 0.5286 0.4035  2 P 2.15-2.20
P 0.2874 0.9714 0.4035  2 P 2.15-2.20
P 0.3850 0.5923 0.0452  3 P 2.15-2.20
P 0.3850 0.9077 0.0452  3 P 2.15-2.20
P 0.6150 0.0923 0.9548  3 P 2.15-2.20
P 0.6150 0.4077 0.9548  3 P 2.15-2.20
P 0.7126 0.0286 0.5965  2 P 2.15-2.20
P 0.7126 0.4714 0.5965  2 P 2.15-2.20
P 0.7209 0.7500 0.1069  2 P 2.20

No. 12
Entry from Materials Project: a geometry-optimized HoPS structure (r2SCAN).

Results
SG = No. 62
energy of formation = -1780 meV per atom

Unit cell a=5.3327 b=5.2945 c=16.6429 alpha=90.00 beta=90.00 gamma=90.00
Closest atoms and distances in Å follow each position.
Positions (direct):
Ho 0.0138 0.2500 0.1466  5 S 2.72-2.82, 2 P 2.89
Ho 0.0163 0.7500 0.3619  5 S 2.76-2.88, 2 P 3.08
Ho 0.4837 0.2500 0.8619  5 S 2.76-2.88, 2 P 3.08
Ho 0.4862 0.7500 0.6466  5 S 2.72-2.82, 2 P 2.89
Ho 0.5138 0.2500 0.3534  5 S 2.72-2.82, 2 P 2.89
Ho 0.5163 0.7500 0.1381  5 S 2.76-2.88, 2 P 3.08
Ho 0.9837 0.2500 0.6381  5 S 2.76-2.88, 2 P 3.08
Ho 0.9862 0.7500 0.8534  5 S 2.72-2.82, 2 P 2.89
P 0.2060 0.5378 0.9971  2 P 2.24-2.25
P 0.2060 0.9622 0.9971  2 P 2.24-2.25
P 0.2940 0.0378 0.4971  2 P 2.24-2.25
P 0.2940 0.4622 0.4971  2 P 2.24-2.25
P 0.7060 0.5378 0.5029  2 P 2.24-2.25
P 0.7060 0.9622 0.5029  2 P 2.24-2.25
P 0.7940 0.0378 0.0029  2 P 2.24-2.25
P 0.7940 0.4622 0.0029  2 P 2.24-2.25
S 0.0102 0.2500 0.3158  5 Ho 2.72-2.82
S 0.0150 0.7500 0.1890  5 Ho 2.74-2.88
S 0.4850 0.2500 0.6890  5 Ho 2.74-2.88
S 0.4898 0.7500 0.8158  5 Ho 2.72-2.82
S 0.5102 0.2500 0.1842  5 Ho 2.72-2.82
S 0.5150 0.7500 0.3110  5 Ho 2.74-2.88
S 0.9850 0.2500 0.8110  5 Ho 2.74-2.88
S 0.9898 0.7500 0.6842  5 Ho 2.72-2.82